{
  "formula": "YIn7Cu5",
  "functional": "PBE",
  "state": "optimized geometry",
  "final_energy_ev_per_cell": -47.20,
  "total_magnetization_mub_per_fu": 0.00,
  "sg": "Imm2 (44)",
  "lattice": [[-2.812, 4.711, 4.735], [2.812, -4.711, 4.735], [2.812, 4.711, -4.735]],
  "species": ["Y", "Cu", "Cu", "Cu", "Cu", "Cu", "In", "In", "In", "In", "In", "In", "In"],
  "fractional_positions": [[0.001, 0.001, 0.000], [0.008, 0.499, 0.003], [0.008, 0.004, 0.508], [0.496, 0.004, 0.997], [0.496, 0.499, 0.492], [0.225, 0.725, 0.500], [0.648, 0.988, 0.660], [0.775, 0.275, 0.500], [0.213, 0.512, 0.701], [0.811, 0.512, 0.299], [0.658, 0.658, 0.000], [0.329, 0.988, 0.340], [0.334, 0.334, 0.000]]
}

{
  "formula": "Y2In3Cu",
  "functional": "PBE",
  "state": "optimized geometry",
  "final_energy_ev_per_cell": -27.67,
  "total_magnetization_mub_per_fu": 0.01,
  "sg": "Pmm2 (25)",
  "lattice": [[0.000, 0.000, -3.602], [-2.386, -4.134, 0.000], [-7.190, 4.152, 0.000]],
  "species": ["In", "In", "In", "Y", "Y", "Cu"],
  "fractional_positions": [[0.500, 0.500, 0.838], [0.500, 0.500, 0.184], [0.500, 0.000, 0.645], [0.000, 0.000, 0.009], [0.000, 0.500, 0.496], [0.500, 0.000, 0.328]]
}

{
  "formula": "YIn6Cu6",
  "functional": "PBE",
  "state": "optimized geometry",
  "final_energy_ev_per_cell": -49.26,
  "sg": "Immm (71)",
  "lattice": [[-2.780, 4.557, 4.590], [2.780, -4.557, 4.590], [2.780, 4.557, -4.590]],
  "species": ["Cu", "Cu", "Cu", "Cu", "Cu", "Cu", "In", "In", "In", "In", "In", "In", "Y"],
  "fractional_positions": [[0.000, 0.500, 0.000], [0.500, 0.500, 0.500], [0.500, 0.000, 0.000], [0.000, 0.000, 0.500], [0.238, 0.500, 0.738], [0.762, 0.500, 0.262], [0.341, 0.341, 0.000], [0.182, 0.682, 0.500], [0.659, 0.659, 0.000], [0.662, 0.000, 0.662], [0.338, 0.000, 0.338], [0.818, 0.318, 0.500], [0.000, 0.000, 0.000]]
}

{
  "formula": "Zr5In3Cu",
  "functional": "PBE",
  "state": "optimized geometry",
  "final_energy_ev_per_cell": -114.38,
  "total_magnetization_mub_per_fu": 0.00,
  "sg": "P6_3/mcm (193)",
  "lattice": [[-0.617, 5.055, -7.225], [-4.173, 2.371, 7.423], [4.826, 3.067, 1.734]],
  "species": ["In", "In", "In", "In", "In", "In", "Zr", "Zr", "Zr", "Zr", "Zr", "Zr", "Zr", "Zr", "Zr", "Zr", "Cu", "Cu"],
  "fractional_positions": [[0.622, 0.000, 0.250], [0.000, 0.622, 0.250], [0.378, 0.000, 0.750], [0.622, 0.622, 0.750], [0.378, 0.378, 0.250], [0.000, 0.378, 0.750], [0.667, 0.333, 0.000], [0.730, 0.730, 0.250], [0.730, 0.000, 0.750], [0.333, 0.667, 0.500], [0.270, 0.000, 0.250], [0.000, 0.730, 0.750], [0.667, 0.333, 0.500], [0.000, 0.270, 0.250], [0.270, 0.270, 0.750], [0.333, 0.667, 0.000], [0.000, 0.000, 0.000], [0.000, 0.000, 0.500]]
}

{
  "formula": "La2CuIr",
  "functional": "PBE",
  "state": "optimized geometry",
  "final_energy_ev_per_cell": -24.57,
  "total_magnetization_mub_per_fu": 0.00,
  "sg": "Fm-3m (225)",
  "lattice": [[0.291, -4.507, 2.413], [-4.183, -2.911, 0.500], [-0.419, -4.358, -2.656]],
  "species": ["La", "La", "Cu", "Ir"],
  "fractional_positions": [[0.750, 0.750, 0.750], [0.250, 0.250, 0.250], [0.500, 0.500, 0.500], [0.000, 0.000, 0.000]]
}

{
  "formula": "La2CuIrO6",
  "functional": "PBE",
  "state": "optimized geometry",
  "final_energy_ev_per_cell": -146.52,
  "total_magnetization_mub_per_fu": 2.00,
  "sg": "P2_1/c (14)",
  "lattice": [[5.917, 0.000, 0.000], [0.000, 5.567, 0.000], [0.000, 5.517, 7.783]],
  "species": ["Cu", "Cu", "O", "O", "O", "O", "O", "O", "O", "O", "O", "O", "O", "O", "La", "La", "La", "La", "Ir", "Ir"],
  "fractional_positions": [[0.000, 0.500, 0.500], [0.500, 0.500, 0.000], [0.811, 0.347, 0.952], [0.287, 0.237, 0.945], [0.470, 0.848, 0.751], [0.030, 0.848, 0.251], [0.713, 0.763, 0.055], [0.311, 0.653, 0.548], [0.970, 0.152, 0.749], [0.530, 0.152, 0.249], [0.189, 0.653, 0.048], [0.213, 0.237, 0.445], [0.689, 0.347, 0.452], [0.787, 0.763, 0.555], [0.933, 0.267, 0.250], [0.567, 0.267, 0.750], [0.433, 0.733, 0.250], [0.067, 0.733, 0.750], [0.000, 0.000, 0.000], [0.500, 0.000, 0.500]]
}

{
  "formula": "Mg2CuIrO6",
  "functional": "PBE",
  "state": "optimized geometry",
  "final_energy_ev_per_cell": -119.41,
  "total_magnetization_mub_per_fu": 0.98,
  "sg": "P2_1/c (14)",
  "lattice": [[-0.756, -4.230, -3.108], [5.018, -0.695, -0.275], [4.605, -5.211, 5.971]],
  "species": ["Mg", "Mg", "Mg", "Mg", "O", "O", "O", "O", "O", "O", "O", "O", "O", "O", "O", "O", "Ir", "Ir", "Cu", "Cu"],
  "fractional_positions": [[0.069, 0.768, 0.247], [0.931, 0.232, 0.753], [0.431, 0.768, 0.747], [0.569, 0.232, 0.253], [0.927, 0.409, 0.235], [0.311, 0.250, 0.079], [0.073, 0.591, 0.765], [0.818, 0.112, 0.072], [0.189, 0.250, 0.579], [0.573, 0.409, 0.735], [0.318, 0.888, 0.428], [0.427, 0.591, 0.265], [0.182, 0.888, 0.928], [0.689, 0.750, 0.921], [0.811, 0.750, 0.421], [0.682, 0.112, 0.572], [0.500, 0.500, 0.500], [0.000, 0.500, 0.000], [0.000, 0.000, 0.500], [0.500, 0.000, 0.000]]
}

{
  "formula": "MgCu2Ir4S8",
  "functional": "PBE",
  "state": "optimized geometry",
  "total_magnetization_mub_per_fu": 0.00,
  "sg": "R-3m (166)",
  "polymorph_energy_mev_per_atom": 0,
  "lattice": [[-7.215, 0.000, -0.110], [0.000, 7.061, 0.000], [3.530, -3.530, -4.996]],
  "species": ["S", "S", "S", "S", "S", "S", "S", "S", "Ir", "Ir", "Ir", "Ir", "Cu", "Cu", "Mg"],
  "fractional_positions": [[0.613, 0.388, 0.224], [0.137, 0.862, 0.723], [0.579, 0.860, 0.719], [0.613, 0.836, 0.224], [0.137, 0.862, 0.276], [0.613, 0.388, 0.777], [0.171, 0.390, 0.781], [0.137, 0.414, 0.276], [0.875, 0.625, 0.250], [0.375, 0.125, 0.750], [0.375, 0.625, 0.250], [0.375, 0.625, 0.750], [0.795, 0.265, 0.530], [0.955, 0.985, 0.970], [0.375, 0.125, 0.250]]
}

{
  "formula": "MgCu2Ir4S8",
  "functional": "PBE",
  "state": "optimized geometry",
  "total_magnetization_mub_per_fu": 0.00,
  "sg": "F-43m (216)",
  "polymorph_energy_mev_per_atom": 284,
  "lattice": [[6.642, 3.070, -0.639], [2.929, -5.541, 3.829], [-3.994, -1.395, -6.008]],
  "species": ["S", "S", "S", "S", "S", "S", "S", "S", "Ir", "Ir", "Ir", "Ir", "Mg", "Cu", "Cu"],
  "fractional_positions": [[0.624, 0.872, 0.248], [0.625, 0.376, 0.752], [0.624, 0.375, 0.248], [0.141, 0.860, 0.282], [0.128, 0.376, 0.752], [0.140, 0.859, 0.718], [0.141, 0.422, 0.282], [0.578, 0.859, 0.718], [0.901, 0.634, 0.267], [0.366, 0.099, 0.733], [0.366, 0.634, 0.267], [0.366, 0.634, 0.733], [0.500, 0.500, 0.000], [0.000, 0.000, 0.000], [0.750, 0.250, 0.500]]
}

{
  "formula": "MgCu2Ir4S8",
  "functional": "PBE",
  "state": "optimized geometry",
  "total_magnetization_mub_per_fu": 0.00,
  "sg": "Imm2 (44)",
  "polymorph_energy_mev_per_atom": 40,
  "lattice": [[4.444, -5.461, 1.323], [-1.670, -2.955, -6.587], [2.401, 6.779, 0.518]],
  "species": ["S", "S", "S", "S", "S", "S", "S", "S", "Mg", "Cu", "Cu", "Ir", "Ir", "Ir", "Ir"],
  "fractional_positions": [[0.159, 0.373, 0.745], [0.601, 0.801, 0.202], [0.587, 0.373, 0.745], [0.573, 0.846, 0.692], [0.120, 0.846, 0.692], [0.601, 0.400, 0.202], [0.119, 0.840, 0.239], [0.119, 0.399, 0.239], [0.537, 0.037, 0.074], [0.796, 0.296, 0.592], [0.987, 0.987, 0.973], [0.355, 0.599, 0.710], [0.351, 0.606, 0.213], [0.355, 0.111, 0.710], [0.861, 0.606, 0.213]]
}

{
  "formula": "Sr3CuIrO6",
  "functional": "PBE",
  "state": "optimized geometry",
  "final_energy_ev_per_cell": -137.01,
  "total_magnetization_mub_per_fu": 0.01,
  "sg": "C2/c (15)",
  "lattice": [[-6.038, -1.530, 2.737], [2.106, -6.452, 0.475], [2.425, 1.158, 6.211]],
  "species": ["O", "O", "O", "O", "O", "O", "O", "O", "O", "O", "O", "O", "Ir", "Ir", "Sr", "Sr", "Sr", "Sr", "Sr", "Sr", "Cu", "Cu"],
  "fractional_positions": [[0.898, 0.217, 0.963], [0.102, 0.783, 0.037], [0.395, 0.030, 0.783], [0.217, 0.898, 0.463], [0.722, 0.572, 0.070], [0.278, 0.428, 0.930], [0.783, 0.102, 0.537], [0.572, 0.722, 0.570], [0.970, 0.605, 0.717], [0.030, 0.395, 0.283], [0.428, 0.278, 0.430], [0.605, 0.970, 0.217], [0.500, 0.000, 0.500], [0.000, 0.500, 0.000], [0.399, 0.601, 0.250], [0.892, 0.742, 0.380], [0.258, 0.108, 0.120], [0.742, 0.892, 0.880], [0.601, 0.399, 0.750], [0.108, 0.258, 0.620], [0.808, 0.192, 0.250], [0.192, 0.808, 0.750]]
}

{
  "formula": "Sr4CuIr2O9",
  "functional": "PBE",
  "state": "optimized geometry",
  "final_energy_ev_per_cell": -306.32,
  "total_magnetization_mub_per_fu": 0.33,
  "sg": "P1 (1)",
  "lattice": [[-3.620, 6.172, 3.738], [-8.139, -1.618, -5.221], [1.224, -4.550, 8.651]],
  "species": ["Ir", "Ir", "Ir", "Ir", "Ir", "Ir", "Cu", "Cu", "Cu", "O", "O", "O", "O", "O", "O", "O", "O", "O", "O", "O", "O", "O", "O", "O", "O", "O", "O", "O", "O", "O", "O", "O", "O", "O", "O", "O", "Sr", "Sr", "Sr", "Sr", "Sr", "Sr", "Sr", "Sr", "Sr", "Sr", "Sr", "Sr"],
  "fractional_positions": [[0.391, 0.662, 0.331], [0.079, 0.661, 0.330], [0.921, 0.334, 0.665], [0.844, 0.998, 0.996], [0.609, 0.333, 0.664], [0.156, 0.998, 0.997], [0.500, 0.000, 0.062], [0.734, 0.726, 0.389], [0.266, 0.390, 0.726], [0.689, 0.843, 0.008], [0.543, 0.685, 0.505], [0.456, 0.319, 0.819], [0.078, 0.318, 0.812], [0.947, 0.487, 0.176], [0.474, 0.174, 0.488], [0.763, 0.354, 0.505], [0.051, 0.179, 0.490], [0.237, 0.846, 0.492], [0.077, 0.502, 0.689], [0.710, 0.995, 0.827], [0.288, 0.006, 0.832], [0.924, 0.684, 0.497], [0.691, 0.159, 0.158], [0.546, 0.817, 0.319], [0.312, 0.841, 0.002], [0.000, 0.833, 0.830], [0.999, 0.162, 0.992], [0.456, 0.507, 0.687], [0.525, 0.484, 0.172], [0.236, 0.502, 0.352], [0.001, 0.995, 0.165], [0.922, 0.809, 0.314], [0.237, 0.643, 0.152], [0.763, 0.155, 0.645], [0.764, 0.496, 0.849], [0.309, 0.155, 0.164], [0.254, 0.694, 0.667], [0.752, 0.027, 0.339], [0.252, 0.330, 0.023], [0.999, 0.322, 0.323], [0.744, 0.316, 0.987], [0.001, 0.004, 0.678], [0.745, 0.671, 0.693], [0.497, 0.007, 0.653], [0.252, 0.989, 0.324], [0.999, 0.676, 0.005], [0.504, 0.642, 0.007], [0.501, 0.359, 0.359]]
}

{
  "formula": "Pm2CuIr",
  "functional": "PBE",
  "state": "optimized geometry",
  "final_energy_ev_per_cell": -24.27,
  "sg": "Fm-3m (225)",
  "lattice": [[-1.786, -3.555, 3.002], [1.188, -0.004, 4.840], [-3.452, 1.124, 3.414]],
  "species": ["Cu", "Ir", "Pm", "Pm"],
  "fractional_positions": [[0.000, 0.000, 0.000], [0.500, 0.500, 0.500], [0.750, 0.750, 0.750], [0.250, 0.250, 0.250]]
}

{
  "formula": "Pr2CuIr",
  "functional": "PBE",
  "state": "optimized geometry",
  "final_energy_ev_per_cell": -24.04,
  "total_magnetization_mub_per_fu": 0.00,
  "sg": "Fm-3m (225)",
  "lattice": [[0.000, 3.595, 3.595], [3.595, 0.000, 3.595], [3.595, 3.595, 0.000]],
  "species": ["Ir", "Pr", "Pr", "Cu"],
  "fractional_positions": [[0.000, 0.000, 0.000], [0.750, 0.750, 0.750], [0.250, 0.250, 0.250], [0.500, 0.500, 0.500]]
}

{
  "formula": "CuIr2S4",
  "functional": "PBE",
  "state": "optimized geometry",
  "final_energy_ev_per_cell": -81.88,
  "sg": "Fd-3m (227)",
  "lattice": [[0.000, 4.960, 4.960], [4.960, 0.000, 4.960], [4.960, 4.960, 0.000]],
  "species": ["Ir", "Ir", "Ir", "Ir", "S", "S", "S", "S", "S", "S", "S", "S", "Cu", "Cu"],
  "fractional_positions": [[0.125, 0.625, 0.625], [0.625, 0.625, 0.625], [0.625, 0.625, 0.125], [0.625, 0.125, 0.625], [0.865, 0.865, 0.865], [0.385, 0.844, 0.385], [0.865, 0.865, 0.406], [0.865, 0.406, 0.865], [0.385, 0.385, 0.385], [0.844, 0.385, 0.385], [0.406, 0.865, 0.865], [0.385, 0.385, 0.844], [0.000, 0.000, 0.000], [0.250, 0.250, 0.250]]
}

{
  "formula": "Tb2CuIr",
  "functional": "PBE",
  "state": "optimized geometry",
  "final_energy_ev_per_cell": -24.52,
  "total_magnetization_mub_per_fu": 0.00,
  "sg": "Fm-3m (225)",
  "lattice": [[0.000, 3.461, 3.461], [3.461, 0.000, 3.461], [3.461, 3.461, 0.000]],
  "species": ["Tb", "Tb", "Cu", "Ir"],
  "fractional_positions": [[0.750, 0.750, 0.750], [0.250, 0.250, 0.250], [0.500, 0.500, 0.500], [0.000, 0.000, 0.000]]
}

{
  "formula": "Ti2CuIr",
  "functional": "PBE",
  "state": "optimized geometry",
  "final_energy_ev_per_cell": -30.73,
  "sg": "Fm-3m (225)",
  "lattice": [[2.359, -3.661, 0.436], [-0.962, -3.524, -2.412], [2.699, -1.259, -3.208]],
  "species": ["Cu", "Ir", "Ti", "Ti"],
  "fractional_positions": [[0.500, 0.500, 0.500], [0.000, 0.000, 0.000], [0.750, 0.750, 0.750], [0.250, 0.250, 0.250]]
}

{
  "formula": "TlCuIr",
  "functional": "PBE",
  "state": "optimized geometry",
  "final_energy_ev_per_cell": -13.72,
  "total_magnetization_mub_per_fu": 0.00,
  "sg": "F-43m (216)",
  "lattice": [[2.894, -2.738, -1.820], [0.163, -4.184, 1.285], [-1.377, -3.172, -2.688]],
  "species": ["Tl", "Ir", "Cu"],
  "fractional_positions": [[0.000, 0.000, 0.000], [0.750, 0.750, 0.750], [0.500, 0.500, 0.500]]
}

{
  "formula": "Y2CuIr",
  "functional": "PBE",
  "state": "optimized geometry",
  "final_energy_ev_per_cell": -28.19,
  "total_magnetization_mub_per_fu": 0.00,
  "sg": "Fm-3m (225)",
  "lattice": [[0.000, 3.458, 3.458], [3.458, 0.000, 3.458], [3.458, 3.458, 0.000]],
  "species": ["Cu", "Y", "Y", "Ir"],
  "fractional_positions": [[0.500, 0.500, 0.500], [0.750, 0.750, 0.750], [0.250, 0.250, 0.250], [0.000, 0.000, 0.000]]
}